A relaxed structure of AgH36S8Br2N9O12, computed with PBE-GGA.

Results
volume: 732.4 Å³/f.u.
calculated formation energy: -0.776 eV/atom

a = 13.3052 Å, b = 13.3052 Å, c = 16.5486 Å
α = 90.00°, β = 90.00°, γ = 90.00°
With the nearest neighbours (Å) after each atom.
Space group I-42d (No. 122)
Asymmetric unit:
Ag (0.0000, 0.0000, 0.0000) (multiplicity 4)  4 S 2.60
H (0.0000, 0.2228, 0.1721) (multiplicity 16)  1 N 1.04
H (0.0046, 0.0637, 0.4638) (multiplicity 16)  1 N 1.04
H (0.0409, 0.5485, 0.5506) (multiplicity 16)  1 N 1.04
H (0.0418, 0.5483, 0.0209) (multiplicity 16)  1 N 1.03
H (0.0900, 0.1936, 0.1030) (multiplicity 16)  1 N 1.04
H (0.1262, 0.2062, 0.4824) (multiplicity 16)  1 N 1.03
H (0.1815, 0.7303, 0.7902) (multiplicity 16)  1 N 1.05
H (0.1971, 0.6996, 0.9872) (multiplicity 16)  1 N 1.04
H (0.2199, 0.7417, 0.6942) (multiplicity 16)  1 N 1.03
S (0.0227, 0.7475, 0.3512) (multiplicity 16)  3 O 1.48-1.50
S (0.0855, 0.1430, 0.9185) (multiplicity 16)  1 S 2.03
Br (0.0107, 0.7500, 0.6250) (multiplicity 8)  6 H 2.98-3.04
N (0.0000, 0.0000, 0.2644) (multiplicity 8)  4 H 1.03-1.04
N (0.0000, 0.0000, 0.5000) (multiplicity 4)  4 H 1.04
N (0.0435, 0.2500, 0.1250) (multiplicity 8)  4 H 1.04
N (0.1989, 0.2279, 0.4958) (multiplicity 16)  4 H 1.03-1.05
O (0.0227, 0.1723, 0.4014) (multiplicity 16)  1 S 1.48
O (0.0572, 0.7093, 0.9778) (multiplicity 16)  1 S 1.50
O (0.1097, 0.6991, 0.3924) (multiplicity 16)  1 S 1.49

=====

A relaxed structure of CsK2HoP2O8, computed with PBE-GGA.

Results
volume: 229.2 Å³/f.u.
calculated formation energy: -2.991 eV/atom

a = 5.6945 Å, b = 5.6945 Å, c = 8.1632 Å
α = 90.00°, β = 90.00°, γ = 120.00°
With the nearest neighbours (Å) after each atom.
Space group P-3m1 (No. 164)
Asymmetric unit:
Cs (0.0000, 0.0000, 0.0000) (multiplicity 1)  12 O 3.30-3.36
K (0.3333, 0.6667, 0.7571) (multiplicity 2)  7 O 2.68-2.96
Ho (0.0000, 0.0000, 0.5000) (multiplicity 1)  6 O 2.24
P (0.3333, 0.6667, 0.2724) (multiplicity 2)  4 O 1.53-1.57
O (0.1840, 0.3680, 0.3383) (multiplicity 6)  1 P 1.57
O (0.3333, 0.6667, 0.0852) (multiplicity 2)  1 P 1.53

=====

A relaxed structure of Ti4Bi2O11, computed with PBE-GGA.

Results
volume: 215.4 Å³/f.u.
calculated formation energy: -2.964 eV/atom

a = 14.8928 Å, b = 3.8174 Å, c = 15.1768 Å
α = 90.00°, β = 93.03°, γ = 90.00°
With the nearest neighbours (Å) after each atom.
Space group C2/c (No. 15)
Asymmetric unit:
Ti (0.0510, 0.2495, 0.1404) (multiplicity 8)  4 O 1.81-1.97
Ti (0.1467, 0.2610, 0.5168) (multiplicity 8)  6 O 1.90-2.03
Bi (0.1803, 0.1850, 0.8202) (multiplicity 8)  3 O 2.19-2.29
O (0.0000, 0.2296, 0.2500) (multiplicity 4)  2 Ti 1.87
O (0.0547, 0.2491, 0.4248) (multiplicity 8)  2 Ti 1.81-1.90
O (0.0786, 0.2517, 0.6282) (multiplicity 8)  3 Ti 1.96-2.02
O (0.1372, 0.2473, 0.0347) (multiplicity 8)  3 Ti 1.90-2.11
O (0.1828, 0.2630, 0.2243) (multiplicity 8)  2 Bi 2.19-2.25, 1 Ti 2.28
O (0.2309, 0.2387, 0.4176) (multiplicity 8)  2 Ti 2.01-2.03

=====

A relaxed structure of Cu3PdN, computed with PBE-GGA.

Results
volume: 58.4 Å³/f.u.
calculated formation energy: 0.032 eV/atom

a = 3.8787 Å, b = 3.8787 Å, c = 3.8787 Å
α = 90.00°, β = 90.00°, γ = 90.00°
With the nearest neighbours (Å) after each atom.
Space group Pm-3m (No. 221)
Asymmetric unit:
Cu (0.0000, 0.0000, 0.5000) (multiplicity 3)  2 N 1.94
Pd (0.5000, 0.5000, 0.5000) (multiplicity 1)  12 Cu 2.74
N (0.0000, 0.0000, 0.0000) (multiplicity 1)  6 Cu 1.94

=====

A relaxed structure of HoNi2P2, computed with PBE-GGA.

Results
volume: 69.9 Å³/f.u.
calculated formation energy: -1.011 eV/atom

a = 3.8628 Å, b = 3.8628 Å, c = 9.3630 Å
α = 90.00°, β = 90.00°, γ = 90.00°
With the nearest neighbours (Å) after each atom.
Space group I4/mmm (No. 139)
Asymmetric unit:
Ho (0.0000, 0.0000, 0.0000) (multiplicity 2)  8 P 2.96, 8 Ni 3.03
Ni (0.0000, 0.5000, 0.2500) (multiplicity 4)  4 P 2.27
P (0.0000, 0.0000, 0.3775) (multiplicity 4)  4 Ni 2.27, 1 P 2.29

=====

A relaxed structure of Mg2Cd, computed with PBE-GGA.

Results
volume: 66.6 Å³/f.u.
calculated formation energy: -0.039 eV/atom

a = 11.8382 Å, b = 3.1873 Å, c = 7.3098 Å
α = 90.00°, β = 105.00°, γ = 90.00°
With the nearest neighbours (Å) after each atom.
Space group C2/m (No. 12)
Asymmetric unit:
Mg (0.0273, 0.0000, 0.3021) (multiplicity 4)  4 Cd 3.10-3.12, 8 Mg 3.12-3.20
Mg (0.1951, 0.5000, 0.6412) (multiplicity 4)  3 Cd 3.07-3.14, 9 Mg 3.14-3.20
Cd (0.1378, 0.5000, 0.0275) (multiplicity 4)  7 Mg 3.07-3.14, 5 Cd 3.18-3.21

=====

A relaxed structure of La4PdO7, computed with PBE-GGA.

Results
volume: 188.9 Å³/f.u.
calculated formation energy: -3.361 eV/atom

a = 13.3965 Å, b = 4.0929 Å, c = 9.4232 Å
α = 90.00°, β = 133.01°, γ = 90.00°
With the nearest neighbours (Å) after each atom.
Space group C2/m (No. 12)
Asymmetric unit:
La (0.0847, 0.0000, 0.3886) (multiplicity 4)  5 O 2.40-2.51
La (0.2494, 0.0000, 0.1597) (multiplicity 4)  5 O 2.32-2.56
Pd (0.0000, 0.5000, 0.0000) (multiplicity 2)  4 O 2.05-2.06
O (0.0000, 0.0000, 0.0000) (multiplicity 2)  2 Pd 2.05
O (0.0897, 0.5000, 0.8898) (multiplicity 4)  1 Pd 2.06
O (0.1321, 0.0000, 0.6930) (multiplicity 4)  4 La 2.37-2.48
O (0.2028, 0.5000, 0.5533) (multiplicity 4)  4 La 2.32-2.51

=====

A relaxed structure of CuReO4, computed with PBE-GGA.

Results
volume: 79.6 Å³/f.u.
calculated formation energy: -0.785 eV/atom

a = 6.6329 Å, b = 7.8595 Å, c = 9.7471 Å
α = 101.49°, β = 104.66°, γ = 94.05°
With the nearest neighbours (Å) after each atom.
Space group P-1 (No. 2)
Asymmetric unit:
Cu (0.0153, 0.3834, 0.2893) (multiplicity 2)  1 O 1.59
Cu (0.3254, 0.9613, 0.0422) (multiplicity 2)  1 O 1.79
Cu (0.4402, 0.2391, 0.7127) (multiplicity 2)  3 O 1.98-2.18
Re (0.1038, 0.9036, 0.3798) (multiplicity 2)  4 O 1.82-1.98
Re (0.2358, 0.4494, 0.9520) (multiplicity 2)  3 O 1.80-1.91
Re (0.3417, 0.7274, 0.6335) (multiplicity 2)  3 O 1.79-1.97
O (0.0378, 0.1362, 0.4008) (multiplicity 2)  1 Re 1.89
O (0.0598, 0.2898, 0.7430) (multiplicity 2)  1 Re 1.82
O (0.1154, 0.4059, 0.0943) (multiplicity 2)  1 Re 1.84
O (0.1515, 0.6346, 0.4629) (multiplicity 2)  1 Re 1.79, 1 O 1.99
O (0.1992, 0.9532, 0.2135) (multiplicity 2)  1 Re 1.98, 1 Cu 2.06
O (0.2000, 0.6929, 0.8313) (multiplicity 2)  1 Cu 1.59
O (0.2681, 0.9906, 0.5782) (multiplicity 2)  1 Re 1.92
O (0.2930, 0.2133, 0.9442) (multiplicity 2)  1 Re 1.91
O (0.3468, 0.4783, 0.7179) (multiplicity 2)  1 Cu 2.02, 1 O 2.25
O (0.3917, 0.6299, 0.0913) (multiplicity 2)  1 Re 1.80, 1 Cu 1.98
O (0.4478, 0.7183, 0.4771) (multiplicity 2)  1 Re 1.83, 1 O 1.99
O (0.4712, 0.9232, 0.8018) (multiplicity 2)  1 Cu 1.79, 1 Re 1.97

=====

A relaxed structure of Pd3N, computed with PBE-GGA.

Results
volume: 55.1 Å³/f.u.
calculated formation energy: 0.239 eV/atom

a = 5.1667 Å, b = 5.1667 Å, c = 14.3064 Å
α = 90.00°, β = 90.00°, γ = 120.00°
With the nearest neighbours (Å) after each atom.
Space group R-3c (No. 167, hexagonal axes)
Asymmetric unit:
Pd (0.0000, 0.3360, 0.2500) (multiplicity 18)  2 N 2.09
N (0.0000, 0.0000, 0.0000) (multiplicity 6)  6 Pd 2.09

=====

A relaxed structure of Na2SeO5, computed with PBE-GGA.

Results
volume: 161.8 Å³/f.u.
calculated formation energy: -0.822 eV/atom
polymorph energy (0 for the lowest one): 20.7 meV per atom

a = 6.7056 Å, b = 10.1856 Å, c = 9.4738 Å
α = 90.00°, β = 90.00°, γ = 90.00°
With the nearest neighbours (Å) after each atom.
Space group Cmcm (No. 63)
Asymmetric unit:
Na (0.0000, 0.0000, 0.0000) (multiplicity 4)  6 O 2.38-2.52
Na (0.0000, 0.3309, 0.2500) (multiplicity 4)  5 O 2.35-2.50
Se (0.0000, 0.2176, 0.7500) (multiplicity 4)  4 O 1.81
O (0.0000, 0.0851, 0.2500) (multiplicity 4)  3 Na 2.50-2.52
O (0.1909, 0.1527, 0.6340) (multiplicity 16)  1 Se 1.81

=====

A relaxed structure of Ba10Gd2Y3Cu15O35, computed with PBE-GGA.

Results
volume: 892.8 Å³/f.u.
calculated formation energy: -2.176 eV/atom

a = 5.5156 Å, b = 11.7366 Å, c = 14.0209 Å
α = 90.00°, β = 100.36°, γ = 90.00°
With the nearest neighbours (Å) after each atom.
Space group P2/m (No. 10)
Asymmetric unit:
Ba (0.0000, 0.1816, 0.0000) (multiplicity 2)  10 O 2.77-3.04
Ba (0.2000, 0.1812, 0.4000) (multiplicity 4)  10 O 2.77-3.04
Ba (0.4000, 0.1815, 0.8001) (multiplicity 4)  10 O 2.77-3.04
Gd (0.1999, 0.5000, 0.3997) (multiplicity 2)  8 O 2.42-2.44
Y (0.0000, 0.5000, 0.0000) (multiplicity 1)  8 O 2.41-2.43
Y (0.4002, 0.5000, 0.8004) (multiplicity 2)  8 O 2.40-2.43
Cu (0.1000, 0.0000, 0.2000) (multiplicity 2)  4 O 1.89-1.97
Cu (0.0999, 0.3529, 0.1999) (multiplicity 4)  4 O 1.96-1.99
Cu (0.3001, 0.0000, 0.6000) (multiplicity 2)  4 O 1.89-1.97
Cu (0.3001, 0.3528, 0.6001) (multiplicity 4)  4 O 1.95-1.99
Cu (0.5000, 0.0000, 0.0000) (multiplicity 1)  4 O 1.89-1.97
Cu (0.5000, 0.3530, 0.0000) (multiplicity 2)  4 O 1.96-1.99
O (0.0000, 0.0000, 0.5000) (multiplicity 1)  2 Cu 1.97
O (0.0000, 0.3766, 0.5000) (multiplicity 2)  2 Cu 1.99
O (0.0999, 0.1609, 0.2000) (multiplicity 4)  1 Cu 1.89
O (0.1014, 0.3778, 0.7006) (multiplicity 4)  2 Cu 1.96
O (0.1999, 0.0000, 0.8999) (multiplicity 2)  2 Cu 1.97
O (0.2000, 0.3780, 0.9000) (multiplicity 4)  2 Cu 1.99
O (0.3000, 0.1609, 0.6000) (multiplicity 4)  1 Cu 1.89
O (0.3000, 0.3786, 0.1000) (multiplicity 4)  2 Cu 1.96
O (0.3999, 0.0000, 0.3001) (multiplicity 2)  2 Cu 1.97
O (0.4011, 0.3772, 0.2994) (multiplicity 4)  2 Cu 1.99
O (0.5000, 0.1609, 0.0000) (multiplicity 2)  1 Cu 1.89
O (0.5000, 0.3771, 0.5000) (multiplicity 2)  2 Cu 1.95

=====

A relaxed structure of Na5BrCl4, computed with PBE-GGA.

Results
volume: 239.1 Å³/f.u.
calculated formation energy: -1.998 eV/atom

a = 4.0740 Å, b = 4.0740 Å, c = 49.9126 Å
α = 90.00°, β = 90.00°, γ = 120.00°
With the nearest neighbours (Å) after each atom.
Space group R-3m (No. 166, hexagonal axes)
Asymmetric unit:
Na (0.0000, 0.0000, 0.0000) (multiplicity 3)  6 Cl 2.88
Na (0.0000, 0.0000, 0.2018) (multiplicity 6)  3 Cl 2.85, 3 Br 2.93
Na (0.0000, 0.0000, 0.3998) (multiplicity 6)  6 Cl 2.87-2.88
Br (0.0000, 0.0000, 0.5000) (multiplicity 3)  6 Na 2.93
Cl (0.0000, 0.0000, 0.0993) (multiplicity 6)  6 Na 2.85-2.87
Cl (0.0000, 0.0000, 0.3000) (multiplicity 6)  6 Na 2.88